# 1
Na6ZnSi4Ge3S2O24: relaxed, PBE-GGA.

abc: 8.824 8.811 21.879
angles: 91.20 89.76 120.27
Fractional coordinates of all 120 atoms:
O: 0.135 0.503 0.855
O: 0.638 0.510 0.918
O: 0.034 0.822 0.693
O: 0.179 0.159 0.091
O: 0.490 0.648 0.575
O: 0.845 0.826 0.589
O: 0.848 0.302 0.528
O: 0.850 0.478 0.424
O: 0.458 0.170 0.523
O: 0.342 0.836 0.574
O: 0.138 0.491 0.579
O: 0.524 0.698 0.253
O: 0.514 0.371 0.421
O: 0.840 0.017 0.093
O: 0.544 0.839 0.478
O: 0.164 0.703 0.753
O: 0.466 0.151 0.247
O: 0.603 0.100 0.143
O: 0.817 0.533 0.024
O: 0.300 0.827 0.253
O: 0.293 0.485 0.758
O: 0.208 0.015 0.306
O: 0.622 0.502 0.640
O: 0.128 0.612 0.358
O: 0.975 0.799 0.805
O: 0.496 0.837 0.070
O: 0.846 0.365 0.923
O: 0.884 0.364 0.639
O: 0.153 0.975 0.909
O: 0.201 0.166 0.811
O: 0.806 0.794 0.306
O: 0.510 0.634 0.861
O: 0.153 0.652 0.075
O: 0.785 0.817 0.194
O: 0.158 0.203 0.690
O: 0.168 0.193 0.414
O: 0.301 0.835 0.976
O: 0.498 0.394 0.142
O: 0.844 0.022 0.811
O: 0.023 0.828 0.414
O: 0.175 0.476 0.254
O: 0.176 0.021 0.591
O: 0.174 0.468 0.975
O: 0.512 0.818 0.758
O: 0.634 0.153 0.426
O: 0.976 0.172 0.586
O: 0.850 0.537 0.745
O: 0.804 0.829 0.909
O: 0.683 0.533 0.246
O: 0.892 0.500 0.143
O: 0.366 0.866 0.854
O: 0.977 0.819 0.091
O: 0.460 0.289 0.021
O: 0.811 0.982 0.412
O: 0.702 0.169 0.750
O: 0.551 0.701 0.972
O: 0.988 0.195 0.306
O: 0.504 0.155 0.923
O: 0.028 0.190 0.913
O: 0.168 0.695 0.479
O: 0.181 0.967 0.193
O: 0.385 0.517 0.359
O: 0.851 0.316 0.247
O: 0.349 0.507 0.071
O: 0.796 0.959 0.688
O: 0.721 0.167 0.025
O: 0.477 0.309 0.751
O: 0.483 0.873 0.358
O: 0.032 0.213 0.193
O: 0.713 0.544 0.521
O: 0.297 0.471 0.479
O: 0.494 0.098 0.643
Na: 0.311 0.335 0.585
Na: 0.667 0.329 0.834
Na: 0.334 0.667 0.168
Na: 0.965 0.291 0.414
Na: 0.000 0.997 0.495
Na: 0.660 0.966 0.588
Na: 0.995 0.994 0.998
Na: 0.667 0.334 0.327
Na: 0.311 0.973 0.085
Na: 0.324 0.034 0.414
Na: 0.027 0.337 0.085
Na: 0.355 0.671 0.669
Na: 0.029 0.699 0.579
Na: 0.386 0.013 0.751
Na: 0.336 0.300 0.921
Na: 0.991 0.360 0.752
Na: 0.712 0.678 0.414
Na: 0.660 0.687 0.085
Si: 0.040 0.386 0.916
Si: 0.290 0.295 0.752
Si: 0.662 0.036 0.084
Si: 0.380 0.340 0.082
Si: 0.335 0.386 0.417
Si: 0.665 0.625 0.584
Si: 0.373 0.038 0.583
Si: 0.331 0.952 0.916
Si: 0.713 0.991 0.753
Si: 0.951 0.617 0.084
Si: 0.621 0.960 0.417
Si: 0.044 0.659 0.418
Ge: 0.349 0.681 0.515
Ge: 0.672 0.313 0.984
Ge: 0.003 0.002 0.142
Ge: 0.015 0.027 0.856
Ge: 0.996 0.994 0.650
Ge: 0.331 0.665 0.321
Ge: 0.317 0.665 0.021
Ge: 0.343 0.668 0.816
Ge: 0.652 0.339 0.476
S: 0.999 0.713 0.751
S: 0.629 0.671 0.916
S: 0.702 0.708 0.251
S: 0.292 0.995 0.251
S: 0.006 0.297 0.252
S: 0.959 0.334 0.584
Zn: 0.639 0.323 0.686
Zn: 0.001 0.999 0.355
Zn: 0.664 0.333 0.175

Summary:
As for the space-group type: P1, No. 1. As for the formation energy: -2.331 eV per atom. The total magnetization comes out at 0.00 μB per formula unit. For the total DFT energy (no corrections), the calculation gives -745.6 eV per cell.

# 2
Na2ZnSi2Ge3S4O24: relaxed, PBE-GGA.

abc: 8.513 8.515 22.146
angles: 88.88 90.08 119.67
Fractional coordinates of all 108 atoms:
O: 0.141 0.963 0.906
O: 0.819 0.022 0.090
O: 0.705 0.524 0.246
O: 0.847 0.304 0.526
O: 0.114 0.632 0.362
O: 0.477 0.172 0.246
O: 0.508 0.632 0.862
O: 0.503 0.814 0.761
O: 0.494 0.114 0.637
O: 0.857 0.509 0.424
O: 0.628 0.482 0.643
O: 0.204 0.032 0.588
O: 0.504 0.384 0.143
O: 0.028 0.837 0.410
O: 0.995 0.190 0.586
O: 0.019 0.181 0.911
O: 0.494 0.872 0.079
O: 0.683 0.181 0.742
O: 0.643 0.506 0.923
O: 0.530 0.679 0.255
O: 0.631 0.128 0.140
O: 0.959 0.177 0.306
O: 0.502 0.150 0.923
O: 0.799 0.818 0.195
O: 0.824 0.784 0.306
O: 0.038 0.815 0.695
O: 0.210 0.037 0.307
O: 0.190 0.167 0.083
O: 0.823 0.306 0.244
O: 0.879 0.500 0.141
O: 0.882 0.371 0.636
O: 0.296 0.826 0.979
O: 0.846 0.369 0.926
O: 0.835 0.036 0.810
O: 0.136 0.635 0.080
O: 0.170 0.185 0.411
O: 0.138 0.518 0.572
O: 0.770 0.956 0.689
O: 0.545 0.702 0.972
O: 0.833 0.524 0.746
O: 0.495 0.353 0.424
O: 0.310 0.473 0.758
O: 0.701 0.162 0.028
O: 0.688 0.516 0.521
O: 0.541 0.834 0.477
O: 0.137 0.506 0.856
O: 0.462 0.149 0.526
O: 0.843 0.807 0.582
O: 0.160 0.680 0.757
O: 0.154 0.697 0.472
O: 0.361 0.477 0.361
O: 0.376 0.875 0.859
O: 0.022 0.212 0.196
O: 0.489 0.315 0.023
O: 0.215 0.176 0.806
O: 0.656 0.170 0.430
O: 0.309 0.842 0.256
O: 0.375 0.534 0.074
O: 0.970 0.787 0.805
O: 0.291 0.447 0.471
O: 0.477 0.312 0.747
O: 0.475 0.618 0.578
O: 0.356 0.855 0.576
O: 0.166 0.453 0.977
O: 0.845 0.529 0.029
O: 0.184 0.983 0.197
O: 0.962 0.791 0.089
O: 0.803 0.829 0.910
O: 0.152 0.473 0.258
O: 0.830 0.984 0.409
O: 0.515 0.903 0.356
O: 0.189 0.215 0.695
Ge: 0.987 0.996 0.352
Ge: 0.664 0.333 0.690
Ge: 0.660 0.339 0.181
Ge: 0.361 0.674 0.522
Ge: 0.670 0.331 0.483
Ge: 0.004 0.022 0.856
Ge: 0.652 0.315 0.974
Ge: 0.331 0.684 0.817
Ge: 0.317 0.647 0.015
Na: 0.351 0.674 0.670
Na: 0.663 0.322 0.335
Na: 0.988 0.990 0.504
Na: 0.335 0.662 0.166
Na: 0.667 0.323 0.834
Na: 0.016 0.015 0.000
Zn: 0.969 0.976 0.647
Zn: 0.349 0.685 0.320
Zn: 0.016 0.015 0.142
S: 0.000 0.709 0.751
S: 0.378 0.042 0.583
S: 0.963 0.342 0.581
S: 0.331 0.371 0.416
S: 0.661 0.045 0.083
S: 0.043 0.667 0.417
S: 0.713 0.707 0.248
S: 0.996 0.294 0.249
S: 0.952 0.616 0.082
S: 0.290 0.293 0.749
S: 0.291 0.004 0.250
S: 0.622 0.668 0.916
Si: 0.705 0.994 0.751
Si: 0.324 0.949 0.917
Si: 0.043 0.383 0.916
Si: 0.627 0.967 0.416
Si: 0.669 0.612 0.582
Si: 0.384 0.343 0.079

Summary:
As for the space-group type: P1, No. 1. As for the formation energy: -2.081 eV per atom. The total magnetization comes out at 0.00 μB per formula unit. For the total DFT energy (no corrections), the calculation gives -667.1 eV per cell.